(1)
Ho2Fe9Si3: relaxed, PBE-GGA.

```
data_Ho2Fe9Si3
_symmetry_space_group_name_H-M 'A m m 2'
_symmetry_Int_Tables_number 38
_cell_length_a 3.819
_cell_length_b 9.938
_cell_length_c 10.046
_cell_angle_alpha 90.00
_cell_angle_beta 90.00
_cell_angle_gamma 90.00
loop_
_symmetry_equiv_pos_as_xyz
'x,y,z'
'-x,-y,z'
'-x,y,z'
'x,-y,z'
'x,y+1/2,z+1/2'
'-x,-y+1/2,z+1/2'
'-x,y+1/2,z+1/2'
'x,-y+1/2,z+1/2'
loop_
_atom_site_label
_atom_site_type_symbol
_atom_site_fract_x
_atom_site_fract_y
_atom_site_fract_z
_atom_site_occupancy
Ho1 Ho 0.000 0.000 0.000 1
Ho2 Ho 0.500 0.000 0.491 1
Fe1 Fe 0.000 0.000 0.278 1
Fe2 Fe 0.000 0.223 0.367 1
Fe3 Fe 0.000 0.225 0.627 1
Fe4 Fe 0.500 0.128 0.209 1
Fe5 Fe 0.500 0.132 0.776 1
Si1 Si 0.000 0.000 0.714 1
Si2 Si 0.500 0.217 0.995 1
```

Computed properties:
The formation energy from the elements is -4.23 eV per formula unit. For the total energy, the calculation gives -7.58 eV per atom. The spin magnetization comes out at 13.75 μB/f.u.



(2)
HoFe10Si2: relaxed, PBE-GGA.

```
data_HoFe10Si2
_symmetry_space_group_name_H-M 'I m m m'
_symmetry_Int_Tables_number 71
_symmetry_space_group_name_Hall '-I 2 2'
_cell_length_a 4.757
_cell_length_b 8.273
_cell_length_c 8.387
_cell_angle_alpha 90.00
_cell_angle_beta 90.00
_cell_angle_gamma 90.00
loop_
_atom_site_label
_atom_site_type_symbol
_atom_site_fract_x
_atom_site_fract_y
_atom_site_fract_z
_atom_site_occupancy
Ho1 Ho 0.000 0.000 0.000 1
Fe1 Fe 0.000 0.000 0.361 1
Fe2 Fe 0.000 0.292 0.500 1
Fe3 Fe 0.000 0.354 0.000 1
Fe4 Fe 0.250 0.250 0.250 1
Si1 Si 0.000 0.500 0.265 1
```

Computed properties:
The formation energy from the elements is -3.13 eV per formula unit. For the total energy, the calculation gives -7.95 eV per atom. The spin magnetization comes out at 20.51 μB/f.u.



(3)
Ho4FeSn8: relaxed, PBE-GGA.

```
data_Ho4FeSn8
_symmetry_space_group_name_H-M 'P m m 2'
_symmetry_Int_Tables_number 25
_cell_length_a 4.445
_cell_length_b 4.462
_cell_length_c 16.605
_cell_angle_alpha 90.00
_cell_angle_beta 90.00
_cell_angle_gamma 90.00
loop_
_symmetry_equiv_pos_as_xyz
'x,y,z'
'-x,-y,z'
'-x,y,z'
'x,-y,z'
loop_
_atom_site_label
_atom_site_type_symbol
_atom_site_fract_x
_atom_site_fract_y
_atom_site_fract_z
_atom_site_occupancy
Ho1 Ho 0.000 0.000 0.000 1
Ho2 Ho 0.000 0.500 0.494 1
Ho3 Ho 0.500 0.000 0.793 1
Ho4 Ho 0.500 0.500 0.298 1
Fe1 Fe 0.000 0.500 0.704 1
Sn1 Sn 0.000 0.000 0.334 1
Sn2 Sn 0.000 0.000 0.634 1
Sn3 Sn 0.000 0.500 0.147 1
Sn4 Sn 0.000 0.500 0.852 1
Sn5 Sn 0.500 0.000 0.149 1
Sn6 Sn 0.500 0.000 0.462 1
Sn7 Sn 0.500 0.500 0.635 1
Sn8 Sn 0.500 0.500 0.971 1
```

Computed properties:
The formation energy from the elements is -6.07 eV per formula unit. For the total energy, the calculation gives -5.00 eV per atom. The spin magnetization comes out at 1.48 μB/f.u.



(4)
HoFe6Sn6: relaxed, PBE-GGA.

```
data_HoFe6Sn6
_symmetry_space_group_name_H-M 'P 1'
_symmetry_Int_Tables_number 1
_cell_length_a 5.408
_cell_length_b 8.940
_cell_length_c 14.979
_cell_angle_alpha 72.64
_cell_angle_beta 79.61
_cell_angle_gamma 89.97
loop_
_symmetry_equiv_pos_as_xyz
'x,y,z'
loop_
_atom_site_label
_atom_site_type_symbol
_atom_site_fract_x
_atom_site_fract_y
_atom_site_fract_z
_atom_site_occupancy
Ho1 Ho 0.000 0.000 0.000 1
Ho2 Ho 0.331 0.833 0.336 1
Ho3 Ho 0.668 0.172 0.664 1
Fe1 Fe 0.004 0.503 0.500 1
Fe2 Fe 0.164 0.418 0.665 1
Fe3 Fe 0.164 0.921 0.666 1
Fe4 Fe 0.168 0.673 0.166 1
Fe5 Fe 0.170 0.165 0.166 1
Fe6 Fe 0.330 0.838 0.832 1
Fe7 Fe 0.331 0.332 0.833 1
Fe8 Fe 0.500 0.004 0.499 1
Fe9 Fe 0.501 0.755 0.999 1
Fe10 Fe 0.502 0.503 0.498 1
Fe11 Fe 0.504 0.247 0.001 1
Fe12 Fe 0.664 0.670 0.166 1
Fe13 Fe 0.671 0.164 0.166 1
Fe14 Fe 0.829 0.837 0.834 1
Fe15 Fe 0.831 0.331 0.835 1
Fe16 Fe 0.835 0.585 0.333 1
Fe17 Fe 0.837 0.083 0.334 1
Fe18 Fe 0.995 0.004 0.499 1
Sn1 Sn 0.000 0.664 0.001 1
Sn2 Sn 0.004 0.337 0.000 1
Sn3 Sn 0.105 0.612 0.778 1
Sn4 Sn 0.109 0.113 0.777 1
Sn5 Sn 0.218 0.725 0.557 1
Sn6 Sn 0.224 0.225 0.554 1
Sn7 Sn 0.333 0.498 0.332 1
Sn8 Sn 0.336 0.172 0.332 1
Sn9 Sn 0.443 0.445 0.112 1
Sn10 Sn 0.444 0.945 0.112 1
Sn11 Sn 0.553 0.556 0.890 1
Sn12 Sn 0.554 0.057 0.888 1
Sn13 Sn 0.662 0.833 0.667 1
Sn14 Sn 0.663 0.507 0.666 1
Sn15 Sn 0.775 0.779 0.445 1
Sn16 Sn 0.781 0.282 0.442 1
Sn17 Sn 0.887 0.889 0.223 1
Sn18 Sn 0.889 0.390 0.221 1
```

Computed properties:
The formation energy from the elements is -1.34 eV per formula unit. For the total energy, the calculation gives -6.22 eV per atom. The spin magnetization comes out at 12.74 μB/f.u.



(5)
HoFe6Sn6: relaxed, PBE-GGA.

```
data_HoFe6Sn6
_symmetry_space_group_name_H-M 'I m m m'
_symmetry_Int_Tables_number 71
_symmetry_space_group_name_Hall '-I 2 2'
_cell_length_a 5.435
_cell_length_b 8.962
_cell_length_c 28.132
_cell_angle_alpha 90.00
_cell_angle_beta 90.00
_cell_angle_gamma 90.00
loop_
_atom_site_label
_atom_site_type_symbol
_atom_site_fract_x
_atom_site_fract_y
_atom_site_fract_z
_atom_site_occupancy
Ho1 Ho 0.000 0.000 0.000 1
Ho2 Ho 0.000 0.500 0.332 1
Fe1 Fe 0.000 0.247 0.167 1
Fe2 Fe 0.000 0.253 0.500 1
Fe3 Fe 0.250 0.246 0.083 1
Fe4 Fe 0.250 0.250 0.250 1
Sn1 Sn 0.000 0.000 0.112 1
Sn2 Sn 0.000 0.000 0.223 1
Sn3 Sn 0.000 0.000 0.444 1
Sn4 Sn 0.000 0.163 0.334 1
Sn5 Sn 0.000 0.337 0.000 1
Sn6 Sn 0.000 0.500 0.110 1
Sn7 Sn 0.000 0.500 0.220 1
Sn8 Sn 0.000 0.500 0.444 1
```

Computed properties:
The formation energy from the elements is -1.39 eV per formula unit. For the total energy, the calculation gives -6.22 eV per atom. The spin magnetization comes out at 12.76 μB/f.u.



(6)
TbHo3Fe8: relaxed, PBE-GGA.

```
data_TbHo3Fe8
_symmetry_space_group_name_H-M 'R 3 m'
_symmetry_Int_Tables_number 160
_symmetry_space_group_name_Hall 'R 3 -2"'
_cell_length_a 5.1091
_cell_length_b 5.1091
_cell_length_c 24.9997
_cell_angle_alpha 90.00
_cell_angle_beta 90.00
_cell_angle_gamma 120.00
loop_
_atom_site_label
_atom_site_type_symbol
_atom_site_fract_x
_atom_site_fract_y
_atom_site_fract_z
_atom_site_occupancy
Tb1 Tb 0.0000 0.0000 0.0000 1
Ho1 Ho 0.0000 0.0000 0.3750 1
Ho2 Ho 0.0000 0.0000 0.4999 1
Ho3 Ho 0.0000 0.0000 0.8748 1
Fe1 Fe 0.0000 0.0000 0.1873 1
Fe2 Fe 0.0000 0.0000 0.6877 1
Fe3 Fe 0.0009 0.5004 0.4378 1
Fe4 Fe 0.1669 0.3339 0.2704 1
```

Computed properties:
The formation energy from the elements is -1.06 eV per formula unit. For the total energy, the calculation gives -7.27 eV per atom. The spin magnetization comes out at 13.17 μB/f.u.



- The highest total energy belongs to which entry?
  Ho4FeSn8



- spin magnetization of number 4 (HoFe6Sn6)?
  12.74 μB/f.u.



What did the sixth record say?
TbHo3Fe8: relaxed, PBE-GGA.

```
data_TbHo3Fe8
_symmetry_space_group_name_H-M 'R 3 m'
_symmetry_Int_Tables_number 160
_symmetry_space_group_name_Hall 'R 3 -2"'
_cell_length_a 5.1091
_cell_length_b 5.1091
_cell_length_c 24.9997
_cell_angle_alpha 90.00
_cell_angle_beta 90.00
_cell_angle_gamma 120.00
loop_
_atom_site_label
_atom_site_type_symbol
_atom_site_fract_x
_atom_site_fract_y
_atom_site_fract_z
_atom_site_occupancy
Tb1 Tb 0.0000 0.0000 0.0000 1
Ho1 Ho 0.0000 0.0000 0.3750 1
Ho2 Ho 0.0000 0.0000 0.4999 1
Ho3 Ho 0.0000 0.0000 0.8748 1
Fe1 Fe 0.0000 0.0000 0.1873 1
Fe2 Fe 0.0000 0.0000 0.6877 1
Fe3 Fe 0.0009 0.5004 0.4378 1
Fe4 Fe 0.1669 0.3339 0.2704 1
```

Computed properties:
The formation energy from the elements is -1.06 eV per formula unit. For the total energy, the calculation gives -7.27 eV per atom. The spin magnetization comes out at 13.17 μB/f.u.



- total energy of number 6 (TbHo3Fe8)?
  -7.27 eV per atom